# Nd4MgTa4Ti4O24 | Materials Project | PBE | optimized geometry
# energy relative to the lowest polymorph listed for this composition: 48 meV/atom
# ΔE_f: -3.48 eV/atom
# symmetry: No. 1
data_Nd4MgTa4Ti4O24
_space_group_name_H-M_alt 'P 1'
_space_group_IT_number 1
_cell_length_a 5.348
_cell_length_b 7.701
_cell_length_c 11.398
_cell_angle_alpha 90.07
_cell_angle_beta 92.31
_cell_angle_gamma 90.24
loop_
_space_group_symop_operation_xyz
'x,y,z'
loop_
_atom_site_label
_atom_site_fract_x
_atom_site_fract_y
_atom_site_fract_z
_atom_site_occupancy
O1 0.439 0.748 0.361 1
O2 0.157 0.753 0.127 1
O3 0.124 0.447 0.712 1
O4 0.728 0.957 0.526 1
O5 0.925 0.252 0.125 1
O6 0.129 0.049 0.707 1
O7 0.622 0.947 0.792 1
O8 0.251 0.033 0.476 1
O9 0.640 0.249 0.398 1
O10 0.781 0.964 0.015 1
O11 0.380 0.072 0.217 1
O12 0.345 0.749 0.620 1
O13 0.246 0.464 0.482 1
O14 0.066 0.748 0.853 1
O15 0.860 0.531 0.281 1
O16 0.541 0.251 0.646 1
O17 0.621 0.552 0.797 1
O18 0.241 0.469 0.979 1
O19 0.887 0.249 0.863 1
O20 0.858 0.962 0.284 1
O21 0.725 0.541 0.530 1
O22 0.245 0.032 0.973 1
O23 0.778 0.537 0.018 1
O24 0.376 0.436 0.218 1
Ta1 0.451 0.504 0.648 1
Ta2 0.057 0.513 0.142 1
Ta3 0.972 0.995 0.852 1
Ta4 0.527 0.994 0.368 1
Ti1 0.044 0.998 0.140 1
Ti2 0.519 0.504 0.381 1
Ti3 0.455 0.991 0.642 1
Ti4 0.972 0.500 0.858 1
Nd1 0.467 0.750 0.960 1
Nd2 0.034 0.748 0.459 1
Nd3 0.950 0.246 0.556 1
Nd4 0.556 0.251 0.977 1
Mg1 0.667 0.272 0.233 1

=====

# PmNdMg2 | Materials Project | PBE | optimized geometry
# ΔE_f: -0.10 eV/atom
# symmetry: No. 225
data_PmNdMg2
_space_group_name_H-M_alt 'P 1'
_space_group_IT_number 1
_cell_length_a 5.485
_cell_length_b 5.485
_cell_length_c 5.485
_cell_angle_alpha 60.00
_cell_angle_beta 60.00
_cell_angle_gamma 60.00
loop_
_space_group_symop_operation_xyz
'x,y,z'
loop_
_atom_site_label
_atom_site_fract_x
_atom_site_fract_y
_atom_site_fract_z
_atom_site_occupancy
Mg1 0.750 0.750 0.750 1
Mg2 0.250 0.250 0.250 1
Pm1 0.000 0.000 0.000 1
Nd1 0.500 0.500 0.500 1

=====

# Nd23Mg4Pt7 | Materials Project | PBE | optimized geometry
# ΔE_f: -0.54 eV/atom
# symmetry: No. 186
data_Nd23Mg4Pt7
_space_group_name_H-M_alt 'P 1'
_space_group_IT_number 1
_cell_length_a 10.138
_cell_length_b 10.138
_cell_length_c 22.939
_cell_angle_alpha 90.00
_cell_angle_beta 90.00
_cell_angle_gamma 120.00
loop_
_space_group_symop_operation_xyz
'x,y,z'
loop_
_atom_site_label
_atom_site_fract_x
_atom_site_fract_y
_atom_site_fract_z
_atom_site_occupancy
Nd1 0.000 0.000 0.501 1
Nd2 0.798 0.202 0.716 1
Nd3 0.129 0.259 0.364 1
Nd4 0.207 0.414 0.779 1
Nd5 0.129 0.871 0.364 1
Nd6 0.202 0.404 0.216 1
Nd7 0.798 0.596 0.716 1
Nd8 0.414 0.207 0.279 1
Nd9 0.788 0.576 0.009 1
Nd10 0.456 0.912 0.642 1
Nd11 0.078 0.539 0.915 1
Nd12 0.912 0.456 0.142 1
Nd13 0.741 0.871 0.364 1
Nd14 0.404 0.202 0.716 1
Nd15 0.587 0.794 0.053 1
Nd16 0.788 0.212 0.009 1
Nd17 0.871 0.129 0.864 1
Nd18 0.212 0.788 0.509 1
Nd19 0.871 0.741 0.864 1
Nd20 0.544 0.088 0.142 1
Nd21 0.596 0.798 0.216 1
Nd22 0.212 0.424 0.509 1
Nd23 0.544 0.456 0.142 1
Nd24 0.333 0.667 0.357 1
Nd25 0.424 0.212 0.009 1
Nd26 0.539 0.461 0.415 1
Nd27 0.000 0.000 0.001 1
Nd28 0.207 0.793 0.779 1
Nd29 0.539 0.078 0.415 1
Nd30 0.206 0.794 0.053 1
Nd31 0.461 0.922 0.915 1
Nd32 0.793 0.207 0.279 1
Nd33 0.088 0.544 0.642 1
Nd34 0.794 0.206 0.553 1
Nd35 0.794 0.587 0.553 1
Nd36 0.456 0.544 0.642 1
Nd37 0.922 0.461 0.415 1
Nd38 0.576 0.788 0.509 1
Nd39 0.259 0.129 0.864 1
Nd40 0.793 0.586 0.279 1
Nd41 0.206 0.413 0.053 1
Nd42 0.461 0.539 0.915 1
Nd43 0.202 0.798 0.216 1
Nd44 0.586 0.793 0.779 1
Nd45 0.667 0.333 0.857 1
Nd46 0.413 0.206 0.553 1
Mg1 0.107 0.893 0.636 1
Mg2 0.893 0.786 0.136 1
Mg3 0.786 0.893 0.636 1
Mg4 0.893 0.107 0.136 1
Mg5 0.000 0.000 0.750 1
Mg6 0.214 0.107 0.136 1
Mg7 0.107 0.214 0.636 1
Mg8 0.000 0.000 0.250 1
Pt1 0.045 0.523 0.290 1
Pt2 0.857 0.714 0.435 1
Pt3 0.523 0.045 0.790 1
Pt4 0.523 0.477 0.790 1
Pt5 0.857 0.143 0.435 1
Pt6 0.477 0.955 0.290 1
Pt7 0.955 0.477 0.790 1
Pt8 0.286 0.143 0.435 1
Pt9 0.143 0.286 0.935 1
Pt10 0.714 0.857 0.935 1
Pt11 0.667 0.333 0.637 1
Pt12 0.143 0.857 0.935 1
Pt13 0.333 0.667 0.137 1
Pt14 0.477 0.523 0.290 1

=====

Number 1: uncorrected energy -0.3285 hartree per atom. Number 2: uncorrected energy -0.1206 hartree per atom. Number 3: uncorrected energy -0.1914 hartree per atom.